# 1
Li3TiCo3O8: relaxed, PBE with a Hubbard U.

abc: 5.7318 5.7318 9.1605
angles: 90.00 90.00 120.00
Space group P6_3mc (No. 186)
One atom of each set of equivalent atoms:
Li 0.1717 0.3434 0.0000 [6 per cell]
Ti 0.3333 0.6667 0.4418 [2 per cell]
Co 0.1689 0.3378 0.7281 [6 per cell]
O 0.0000 0.0000 0.1246 [2 per cell]
O 0.0372 0.5186 0.6051 [6 per cell]
O 0.1625 0.3251 0.3490 [6 per cell]
O 0.3333 0.6667 0.8377 [2 per cell]

Results
As for the excess energy over the best structure of this formula in the dataset: 0.000 eV per atom. Its crystal system is hexagonal. The calculation puts the total magnetic moment at 0.002 μB per cell.

# 2
Li9Mn2Co5O16: relaxed, PBE with a Hubbard U.

abc: 2.959 5.050 19.245
angles: 93.39 91.09 91.23
Space group P1 (No. 1)
One atom of each set of equivalent atoms:
Li 0.000 0.000 0.000 [1 per cell]
Li 0.000 0.226 0.761 [1 per cell]
Li 0.001 0.494 0.506 [1 per cell]
Li 0.005 0.737 0.252 [1 per cell]
Li 0.491 0.743 0.763 [1 per cell]
Li 0.499 0.988 0.504 [1 per cell]
Li 0.501 0.238 0.251 [1 per cell]
Li 0.503 0.113 0.880 [1 per cell]
Li 0.515 0.490 0.001 [1 per cell]
Mn 0.501 0.362 0.632 [1 per cell]
Mn 0.502 0.614 0.379 [1 per cell]
Co 0.001 0.114 0.378 [1 per cell]
Co 0.001 0.863 0.632 [1 per cell]
Co 0.003 0.364 0.128 [1 per cell]
Co 0.003 0.614 0.881 [1 per cell]
Co 0.501 0.865 0.127 [1 per cell]
O 0.002 0.887 0.824 [1 per cell]
O 0.005 0.341 0.935 [1 per cell]
O 0.006 0.060 0.184 [1 per cell]
O 0.013 0.516 0.687 [1 per cell]
O 0.044 0.414 0.320 [1 per cell]
O 0.460 0.553 0.185 [1 per cell]
O 0.491 0.918 0.321 [1 per cell]
O 0.495 0.447 0.826 [1 per cell]
O 0.498 0.664 0.575 [1 per cell]
O 0.504 0.063 0.689 [1 per cell]
O 0.511 0.783 0.935 [1 per cell]
O 0.513 0.308 0.437 [1 per cell]
O 0.548 0.174 0.070 [1 per cell]
O 0.960 0.816 0.439 [1 per cell]
O 0.991 0.205 0.575 [1 per cell]
O 0.998 0.670 0.073 [1 per cell]

Results
As for the excess energy over the best structure of this formula in the dataset: 0.065 eV per atom. Its crystal system is triclinic. The calculation puts the total magnetic moment at 10.011 μB per cell.

# 3
Mn2PO5: relaxed, PBE with a Hubbard U.

abc: 5.101 6.500 6.942
angles: 110.07 101.51 104.82
Space group P-1 (No. 2)
One atom of each set of equivalent atoms:
Mn 0.133 0.045 0.242 [2 per cell]
Mn 0.334 0.736 0.877 [2 per cell]
P 0.334 0.614 0.315 [2 per cell]
O 0.091 0.387 0.281 [2 per cell]
O 0.208 0.729 0.176 [2 per cell]
O 0.273 0.042 0.963 [2 per cell]
O 0.418 0.447 0.759 [2 per cell]
O 0.445 0.780 0.558 [2 per cell]

Results
As for the excess energy over the best structure of this formula in the dataset: 0.039 eV per atom. Its crystal system is triclinic. The calculation puts the total magnetic moment at 18.005 μB per cell.

# 4
Na2NiPCO7: relaxed, PBE with a Hubbard U.

abc: 5.176 10.986 11.103
angles: 73.43 88.98 88.82
Space group P-1 (No. 2)
One atom of each set of equivalent atoms:
Na 0.220 0.064 0.349 [2 per cell]
Na 0.246 0.620 0.136 [2 per cell]
Na 0.248 0.384 0.377 [2 per cell]
Na 0.250 0.899 0.872 [2 per cell]
Ni 0.218 0.705 0.450 [2 per cell]
Ni 0.222 0.203 0.953 [2 per cell]
P 0.276 0.414 0.665 [2 per cell]
P 0.283 0.912 0.164 [2 per cell]
C 0.285 0.835 0.596 [2 per cell]
C 0.287 0.339 0.089 [2 per cell]
O 0.054 0.814 0.564 [2 per cell]
O 0.061 0.307 0.056 [2 per cell]
O 0.134 0.840 0.086 [2 per cell]
O 0.135 0.339 0.587 [2 per cell]
O 0.202 0.370 0.805 [2 per cell]
O 0.205 0.558 0.618 [2 per cell]
O 0.216 0.057 0.125 [2 per cell]
O 0.226 0.867 0.305 [2 per cell]
O 0.315 0.406 0.161 [2 per cell]
O 0.328 0.902 0.669 [2 per cell]
O 0.424 0.104 0.866 [2 per cell]
O 0.427 0.603 0.353 [2 per cell]
O 0.474 0.787 0.543 [2 per cell]
O 0.478 0.290 0.038 [2 per cell]

Results
As for the excess energy over the best structure of this formula in the dataset: 0.030 eV per atom. Its crystal system is triclinic. The calculation puts the total magnetic moment at 8.002 μB per cell.

# 5
Li3Mn4B4O12: relaxed, PBE with a Hubbard U.

abc: 9.104 9.126 10.456
angles: 87.97 89.76 60.20
Space group P1 (No. 1)
One atom of each set of equivalent atoms:
Li 0.000 0.000 0.000 [1 per cell]
Li 0.010 0.993 0.510 [1 per cell]
Li 0.083 0.790 0.247 [1 per cell]
Li 0.319 0.338 0.992 [1 per cell]
Li 0.418 0.122 0.250 [1 per cell]
Li 0.452 0.123 0.755 [1 per cell]
Li 0.653 0.674 0.497 [1 per cell]
Li 0.757 0.457 0.262 [1 per cell]
Li 0.771 0.462 0.747 [1 per cell]
Mn 0.006 0.338 0.473 [1 per cell]
Mn 0.098 0.474 0.721 [1 per cell]
Mn 0.100 0.122 0.216 [1 per cell]
Mn 0.324 0.642 0.467 [1 per cell]
Mn 0.359 0.981 0.975 [1 per cell]
Mn 0.394 0.798 0.712 [1 per cell]
Mn 0.429 0.447 0.219 [1 per cell]
Mn 0.643 0.027 0.471 [1 per cell]
Mn 0.657 0.346 0.963 [1 per cell]
Mn 0.751 0.796 0.222 [1 per cell]
Mn 0.800 0.095 0.726 [1 per cell]
Mn 0.976 0.679 0.971 [1 per cell]
B 0.009 0.324 0.947 [1 per cell]
B 0.094 0.452 0.211 [1 per cell]
B 0.123 0.115 0.711 [1 per cell]
B 0.314 0.997 0.460 [1 per cell]
B 0.317 0.673 0.955 [1 per cell]
B 0.430 0.777 0.225 [1 per cell]
B 0.446 0.440 0.725 [1 per cell]
B 0.662 0.016 0.970 [1 per cell]
B 0.670 0.332 0.466 [1 per cell]
B 0.749 0.784 0.713 [1 per cell]
B 0.765 0.122 0.200 [1 per cell]
B 0.972 0.691 0.473 [1 per cell]
O 0.001 0.380 0.261 [1 per cell]
O 0.012 0.625 0.183 [1 per cell]
O 0.031 0.289 0.684 [1 per cell]
O 0.054 0.013 0.701 [1 per cell]
O 0.054 0.529 0.536 [1 per cell]
O 0.061 0.773 0.447 [1 per cell]
O 0.097 0.413 0.911 [1 per cell]
O 0.098 0.162 0.000 [1 per cell]
O 0.142 0.078 0.427 [1 per cell]
O 0.147 0.764 0.971 [1 per cell]
O 0.266 0.351 0.187 [1 per cell]
O 0.297 0.039 0.745 [1 per cell]
O 0.327 0.708 0.257 [1 per cell]
O 0.355 0.360 0.728 [1 per cell]
O 0.355 0.946 0.178 [1 per cell]
O 0.376 0.602 0.670 [1 per cell]
O 0.387 0.833 0.521 [1 per cell]
O 0.406 0.748 0.898 [1 per cell]
O 0.408 0.069 0.429 [1 per cell]
O 0.410 0.503 0.998 [1 per cell]
O 0.489 0.114 0.950 [1 per cell]
O 0.505 0.393 0.419 [1 per cell]
O 0.602 0.684 0.237 [1 per cell]
O 0.615 0.364 0.773 [1 per cell]
O 0.662 0.064 0.250 [1 per cell]
O 0.667 0.696 0.691 [1 per cell]
O 0.674 0.958 0.685 [1 per cell]
O 0.686 0.297 0.155 [1 per cell]
O 0.732 0.853 0.019 [1 per cell]
O 0.745 0.431 0.458 [1 per cell]
O 0.759 0.166 0.518 [1 per cell]
O 0.768 0.083 0.936 [1 per cell]
O 0.804 0.760 0.434 [1 per cell]
O 0.837 0.406 0.929 [1 per cell]
O 0.916 0.703 0.762 [1 per cell]
O 0.937 0.024 0.192 [1 per cell]

Results
As for the excess energy over the best structure of this formula in the dataset: 0.003 eV per atom. Its crystal system is triclinic. The calculation puts the total magnetic moment at 57.001 μB per cell.

> Among the records above, which one has the lowest total magnetic moment?

Li3TiCo3O8